Er2Ga9Co3: relaxed, PBE.

Results
As for the formation energy: -0.481 eV per atom. As for the raw total energy: -0.1692 hartree per atom.

Lattice parameters (Å, degrees): 12.689 7.356 9.358 90.00 90.00 90.00
Space group Cmcm (No. 63)
Unique sites:
Er (0.164, 0.167, 0.250) [8 per cell]
Ga (0.000, 0.120, 0.750) [4 per cell]
Ga (0.000, 0.333, 0.059) [8 per cell]
Ga (0.108, 0.444, 0.750) [8 per cell]
Ga (0.167, 0.167, 0.573) [16 per cell]
Co (0.000, 0.000, 0.000) [4 per cell]
Co (0.171, 0.500, 0.000) [8 per cell]